[1]
LiMnF3 | PBE with a Hubbard U | relaxed

Unit cell a=11.2051 b=7.3230 c=5.3767 alpha=90.00 beta=90.00 gamma=90.00
Element x y z (fractional)
Li 0.1173 0.0072 0.1359
Li 0.1173 0.4928 0.1359
Li 0.3827 0.5072 0.6359
Li 0.3827 0.9928 0.6359
Li 0.6173 0.0072 0.3641
Li 0.6173 0.4928 0.3641
Li 0.8827 0.5072 0.8641
Li 0.8827 0.9928 0.8641
Mn 0.1003 0.7500 0.6471
Mn 0.1735 0.2500 0.6720
Mn 0.3265 0.7500 0.1720
Mn 0.3997 0.2500 0.1471
Mn 0.6003 0.7500 0.8529
Mn 0.6735 0.2500 0.8280
Mn 0.8265 0.7500 0.3280
Mn 0.8997 0.2500 0.3529
F 0.0497 0.0441 0.7705
F 0.0497 0.4559 0.7705
F 0.0904 0.2500 0.3023
F 0.1522 0.7500 0.0209
F 0.2201 0.5725 0.4471
F 0.2201 0.9275 0.4471
F 0.2799 0.0725 0.9471
F 0.2799 0.4275 0.9471
F 0.3478 0.2500 0.5209
F 0.4096 0.7500 0.8023
F 0.4503 0.5441 0.2705
F 0.4503 0.9559 0.2705
F 0.5497 0.0441 0.7295
F 0.5497 0.4559 0.7295
F 0.5904 0.2500 0.1977
F 0.6522 0.7500 0.4791
F 0.7201 0.5725 0.0529
F 0.7201 0.9275 0.0529
F 0.7799 0.0725 0.5529
F 0.7799 0.4275 0.5529
F 0.8478 0.2500 0.9791
F 0.9096 0.7500 0.6977
F 0.9503 0.5441 0.2295
F 0.9503 0.9559 0.2295

* crystal system: orthorhombic
* magnetization: 0.0 μB per formula unit
* energy of formation: -1444 kJ/mol of formula units

[2]
Li2MnF6 | PBE with a Hubbard U | relaxed

Unit cell a=6.0786 b=6.0786 c=6.2135 alpha=90.00 beta=90.00 gamma=90.00
Element x y z (fractional)
Li 0.0000 0.5000 0.2500
Li 0.0000 0.5000 0.7500
Li 0.5000 0.0000 0.2500
Li 0.5000 0.0000 0.7500
Mn 0.0000 0.0000 0.0000
Mn 0.5000 0.5000 0.5000
F 0.0000 0.0000 0.2892
F 0.0000 0.0000 0.7108
F 0.0609 0.3005 0.0000
F 0.1995 0.4391 0.5000
F 0.3005 0.9391 0.0000
F 0.4391 0.8005 0.5000
F 0.5000 0.5000 0.2108
F 0.5000 0.5000 0.7892
F 0.5609 0.1995 0.5000
F 0.6995 0.0609 0.0000
F 0.8005 0.5609 0.5000
F 0.9391 0.6995 0.0000

* crystal system: tetragonal
* magnetization: 3.0 μB per formula unit
* energy of formation: -2438 kJ/mol of formula units

[3]
LiMn2F6 | PBE with a Hubbard U | relaxed

Unit cell a=5.2792 b=5.2792 c=4.4755 alpha=90.06 beta=90.06 gamma=116.07
Element x y z (fractional)
Li 0.0000 0.0000 0.0000
Mn 0.3293 0.6707 0.5000
Mn 0.6707 0.3293 0.5000
F 0.0101 0.6729 0.2582
F 0.3271 0.9899 0.7418
F 0.3610 0.3610 0.2813
F 0.6390 0.6390 0.7187
F 0.6729 0.0101 0.2582
F 0.9899 0.3271 0.7418

* crystal system: monoclinic
* magnetization: 9.0 μB per formula unit
* energy of formation: -2478 kJ/mol of formula units

[4]
LiMnF3 | PBE with a Hubbard U | relaxed

Unit cell a=5.4532 b=7.7246 c=5.1236 alpha=90.00 beta=90.00 gamma=90.00
Element x y z (fractional)
Li 0.0000 0.0000 0.0000
Li 0.0000 0.5000 0.0000
Li 0.5000 0.0000 0.5000
Li 0.5000 0.5000 0.5000
Mn 0.0782 0.2500 0.4694
Mn 0.4218 0.7500 0.9694
Mn 0.5782 0.2500 0.0306
Mn 0.9218 0.7500 0.5306
F 0.0661 0.7500 0.1427
F 0.1868 0.5743 0.6869
F 0.1868 0.9257 0.6869
F 0.3132 0.0743 0.1869
F 0.3132 0.4257 0.1869
F 0.4339 0.2500 0.6427
F 0.5661 0.7500 0.3573
F 0.6868 0.5743 0.8131
F 0.6868 0.9257 0.8131
F 0.8132 0.0743 0.3131
F 0.8132 0.4257 0.3131
F 0.9339 0.2500 0.8573

* crystal system: orthorhombic
* magnetization: 5.0 μB per formula unit
* energy of formation: -1450 kJ/mol of formula units

[5]
Li2MnF6 | PBE with a Hubbard U | relaxed

Unit cell a=6.8103 b=6.8103 c=7.7537 alpha=93.03 beta=93.03 gamma=134.38
Element x y z (fractional)
Li 0.2143 0.7669 0.9475
Li 0.2331 0.7857 0.5525
Li 0.7669 0.2143 0.4475
Li 0.7857 0.2331 0.0525
Mn 0.3709 0.6291 0.2500
Mn 0.6291 0.3709 0.7500
F 0.0398 0.5195 0.3218
F 0.1722 0.4631 0.0285
F 0.2481 0.3179 0.3139
F 0.3179 0.2481 0.8139
F 0.4631 0.1722 0.5285
F 0.4805 0.9602 0.1782
F 0.5195 0.0398 0.8218
F 0.5369 0.8278 0.4715
F 0.6821 0.7519 0.1861
F 0.7519 0.6821 0.6861
F 0.8278 0.5369 0.9715
F 0.9602 0.4805 0.6782

* crystal system: monoclinic
* magnetization: 3.0 μB per formula unit
* energy of formation: -2406 kJ/mol of formula units

[6]
LiMnF5 | PBE with a Hubbard U | relaxed

Unit cell a=5.2749 b=9.0296 c=9.1994 alpha=90.00 beta=121.44 gamma=90.00
Element x y z (fractional)
Li 0.1770 0.0995 0.2893
Li 0.1770 0.4005 0.7893
Li 0.8230 0.5995 0.2107
Li 0.8230 0.9005 0.7107
Mn 0.4999 0.1217 0.8776
Mn 0.4999 0.3783 0.3776
Mn 0.5001 0.6217 0.6224
Mn 0.5001 0.8783 0.1224
F 0.1879 0.2012 0.6920
F 0.1879 0.2988 0.1920
F 0.2094 0.7164 0.6235
F 0.2094 0.7836 0.1235
F 0.2266 0.5152 0.4066
F 0.2266 0.9848 0.9066
F 0.4553 0.2279 0.4946
F 0.4553 0.2721 0.9946
F 0.4722 0.0240 0.2504
F 0.4722 0.4760 0.7504
F 0.5278 0.5240 0.2496
F 0.5278 0.9760 0.7496
F 0.5447 0.7279 0.0054
F 0.5447 0.7721 0.5054
F 0.7734 0.0152 0.0934
F 0.7734 0.4848 0.5934
F 0.7906 0.2164 0.8765
F 0.7906 0.2836 0.3765
F 0.8121 0.7012 0.8080
F 0.8121 0.7988 0.3080

* crystal system: monoclinic
* magnetization: 3.0 μB per formula unit
* energy of formation: -1778 kJ/mol of formula units